Version w
CoI2O6 | PBE with a Hubbard U | optimized geometry

Cell and atoms, written as POSCAR:
```
CoI2O6
1.0
-3.411 0.853 -3.883
-4.587 -4.443 3.053
-5.836 11.247 7.598
O I Co
24 8 4
Direct
0.409 0.600 0.579
0.608 0.867 0.762
0.591 0.900 0.079
0.108 0.633 0.738
0.108 0.133 0.762
0.409 0.100 0.921
0.063 0.179 0.420
0.909 0.900 0.921
0.591 0.400 0.421
0.937 0.321 0.920
0.091 0.600 0.421
0.063 0.679 0.080
0.563 0.821 0.420
0.608 0.367 0.738
0.937 0.821 0.580
0.437 0.179 0.580
0.909 0.400 0.579
0.892 0.867 0.238
0.091 0.100 0.079
0.392 0.133 0.238
0.563 0.321 0.080
0.437 0.679 0.920
0.392 0.633 0.262
0.892 0.367 0.262
0.770 0.719 0.148
0.730 0.219 0.648
0.770 0.219 0.352
0.230 0.781 0.648
0.270 0.281 0.148
0.230 0.281 0.852
0.270 0.781 0.352
0.730 0.719 0.852
0.750 0.124 0.000
0.250 0.376 0.500
0.750 0.624 0.500
0.250 0.876 0.000
```

Summary:
V = 547.7 Å³ per cell
Space group = Pbcn (60)

=====

Version x
CoI2O6 | PBE with a Hubbard U | optimized geometry

Cell and atoms, written as POSCAR:
```
CoI2O6
1.0
5.454 0.000 0.000
-0.003 10.870 0.000
-0.004 -5.330 9.518
Co O I
4 24 8
Direct
0.072 0.491 0.998
0.571 0.005 0.002
0.571 0.509 0.505
0.072 0.994 0.494
0.781 0.858 0.031
0.859 0.354 0.038
0.860 0.171 0.623
0.359 0.141 0.961
0.365 0.331 0.373
0.863 0.856 0.534
0.283 0.522 0.177
0.779 0.977 0.824
0.363 0.827 0.874
0.849 0.957 0.320
0.282 0.635 0.966
0.285 0.823 0.342
0.349 0.044 0.177
0.282 0.322 0.845
0.285 0.025 0.671
0.779 0.366 0.538
0.868 0.670 0.128
0.785 0.679 0.656
0.787 0.475 0.328
0.846 0.455 0.826
0.781 0.176 0.157
0.345 0.543 0.677
0.278 0.140 0.465
0.362 0.649 0.467
0.464 0.166 0.814
0.463 0.667 0.316
0.963 0.835 0.684
0.963 0.332 0.186
0.995 0.837 0.151
0.494 0.164 0.347
0.493 0.660 0.847
0.991 0.339 0.654
```

Summary:
V = 564.3 Å³ per cell
Space group = P1 (1)

=====

In meV/atom, relative to the most stable structure: version w 0; version x 176.